1.
## GdHSe (r²SCAN)

Data for an optimized crystal structure of GdHSe. Values from VASP.

The structure in Quantum ESPRESSO input format:
```
&SYSTEM
  ibrav = 0, nat = 3, ntyp = 3
/
ATOMIC_SPECIES
Gd 157.25 Gd.upf
H 1.01 H.upf
Se 78.96 Se.upf
CELL_PARAMETERS angstrom
1.9433 -3.3658 0.0000
1.9433 3.3658 0.0000
0.0000 0.0000 3.9507
ATOMIC_POSITIONS crystal
Gd 0.0000 0.0000 0.0000
H 0.3333 0.6667 0.0000
Se 0.6667 0.3333 0.5000
```

For the magnetization, the calculation gives 7.0 Bohr magnetons per cell. The electronic total energy is -22.0221 eV per atom. For the energy relative to the elements, the calculation gives -1.63 eV per atom. The symmetry is No. 187.

***

2.
## Tb2Cl3 (r²SCAN)

Data for an optimized crystal structure of Tb2Cl3. Values from VASP.

The structure in Quantum ESPRESSO input format:
```
&SYSTEM
  ibrav = 0, nat = 10, ntyp = 2
/
ATOMIC_SPECIES
Tb 158.93 Tb.upf
Cl 35.45 Cl.upf
CELL_PARAMETERS angstrom
-2.1849 2.5366 -1.9260
-5.7881 -4.3690 -3.0607
-7.7262 0.5771 5.6524
ATOMIC_POSITIONS crystal
Tb 0.9113 0.7276 0.4498
Tb 0.0887 0.2724 0.5502
Tb 0.6383 0.5151 0.2082
Tb 0.3617 0.4849 0.7918
Cl 0.8412 0.3093 0.0083
Cl 0.1588 0.6907 0.9917
Cl 0.7295 0.1589 0.3820
Cl 0.2705 0.8411 0.6180
Cl 0.4532 0.8576 0.2360
Cl 0.5468 0.1424 0.7640
```

For the magnetization, the calculation gives 0.0 Bohr magnetons per cell. The electronic total energy is -18.2770 eV per atom. For the energy relative to the elements, the calculation gives -2.09 eV per atom. The symmetry is No. 12.

***

3.
## SmTlPd (r²SCAN)

Data for an optimized crystal structure of SmTlPd. Values from VASP.

The structure in Quantum ESPRESSO input format:
```
&SYSTEM
  ibrav = 0, nat = 9, ntyp = 3
/
ATOMIC_SPECIES
Sm 150.36 Sm.upf
Tl 204.38 Tl.upf
Pd 106.42 Pd.upf
CELL_PARAMETERS angstrom
7.8755 0.0000 0.0000
-3.9377 6.8204 0.0000
0.0000 0.0000 3.8494
ATOMIC_POSITIONS crystal
Sm 0.0000 0.5977 0.5000
Sm 0.5977 0.0000 0.5000
Sm 0.4023 0.4023 0.5000
Tl 0.0000 0.2662 0.0000
Tl 0.2662 0.0000 0.0000
Tl 0.7338 0.7338 0.0000
Pd 0.0000 0.0000 0.5000
Pd 0.6667 0.3333 0.0000
Pd 0.3333 0.6667 0.0000
```

For the magnetization, the calculation gives 0.0 Bohr magnetons per cell. The electronic total energy is -36.0218 eV per atom. For the energy relative to the elements, the calculation gives -0.73 eV per atom. The symmetry is No. 189.

***

4.
## Sr4La2MgRu2O12 (r²SCAN)

Data for an optimized crystal structure of Sr4La2MgRu2O12. Values from VASP.

The structure in Quantum ESPRESSO input format:
```
&SYSTEM
  ibrav = 0, nat = 42, ntyp = 5
/
ATOMIC_SPECIES
Sr 87.62 Sr.upf
La 138.91 La.upf
Mg 24.30 Mg.upf
Ru 101.07 Ru.upf
O 16.00 O.upf
CELL_PARAMETERS angstrom
3.6405 -0.0987 -1.3699
-0.4154 3.6181 -1.3699
3.0926 3.3748 41.1021
ATOMIC_POSITIONS crystal
Sr 0.3533 0.3533 0.9509
Sr 0.3560 0.3560 0.4523
Sr 0.6467 0.6467 0.5491
Sr 0.3547 0.3547 0.2849
Sr 0.6474 0.6474 0.3826
Sr 0.3526 0.3526 0.1174
Sr 0.6453 0.6453 0.2151
Sr 0.6440 0.6440 0.0477
La 0.3596 0.3596 0.7873
La 0.6433 0.6433 0.8780
La 0.3567 0.3567 0.6220
La 0.6404 0.6404 0.7127
Mg 0.9985 0.9985 0.8331
Mg 0.0015 0.0015 0.6669
Ru 0.0008 0.0008 0.3337
Ru 0.9992 0.9992 0.1663
Ru 0.9970 0.9970 0.9987
Ru 0.0030 0.0030 0.5013
O 0.9976 0.4967 0.8326
O 0.1514 0.1514 0.8892
O 0.0024 0.5033 0.6674
O 0.1769 0.1769 0.7261
O 0.4967 0.9976 0.8326
O 0.0009 0.5014 0.5008
O 0.1687 0.1687 0.5561
O 0.8313 0.8313 0.9439
O 0.5033 0.0024 0.6674
O 0.0009 0.5008 0.3337
O 0.1632 0.1632 0.3878
O 0.8231 0.8231 0.7739
O 0.5014 0.0009 0.5008
O 0.9991 0.4992 0.1663
O 0.1617 0.1617 0.2204
O 0.8486 0.8486 0.6108
O 0.5008 0.0009 0.3337
O 0.9991 0.4986 0.9992
O 0.1601 0.1601 0.0530
O 0.8399 0.8399 0.4470
O 0.4992 0.9991 0.1663
O 0.8383 0.8383 0.2796
O 0.4986 0.9991 0.9992
O 0.8368 0.8368 0.1122
```

For the magnetization, the calculation gives 0.1 Bohr magnetons per cell. The electronic total energy is -14.4710 eV per atom. For the energy relative to the elements, the calculation gives -2.72 eV per atom. The symmetry is No. 12.

***

5.
## Rb2SnO3 (r²SCAN)

Data for an optimized crystal structure of Rb2SnO3. Values from VASP.

The structure in Quantum ESPRESSO input format:
```
&SYSTEM
  ibrav = 0, nat = 12, ntyp = 3
/
ATOMIC_SPECIES
Rb 85.47 Rb.upf
Sn 118.71 Sn.upf
O 16.00 O.upf
CELL_PARAMETERS angstrom
-5.4010 -2.7824 2.3652
4.5525 -4.5309 -1.1194
2.0033 0.6839 5.3790
ATOMIC_POSITIONS crystal
Rb 0.4812 0.8024 0.2523
Rb 0.1976 0.5188 0.7523
Rb 0.5188 0.1976 0.7523
Rb 0.8024 0.4812 0.2523
Sn 0.9134 0.9134 0.7388
Sn 0.0866 0.0866 0.2388
O 0.1350 0.8846 0.4939
O 0.1154 0.8650 0.9939
O 0.6543 0.6543 0.7087
O 0.3457 0.3457 0.2087
O 0.8650 0.1154 0.9939
O 0.8846 0.1350 0.4939
```

For the magnetization, the calculation gives 0.0 Bohr magnetons per cell. The electronic total energy is -13.5160 eV per atom. For the energy relative to the elements, the calculation gives -1.76 eV per atom. The symmetry is No. 36.

***

6.
## HfO2 (r²SCAN)

Data for an optimized crystal structure of HfO2. Values from VASP.

The structure in Quantum ESPRESSO input format:
```
&SYSTEM
  ibrav = 0, nat = 12, ntyp = 2
/
ATOMIC_SPECIES
Hf 178.49 Hf.upf
O 16.00 O.upf
CELL_PARAMETERS angstrom
-4.6335 1.6825 0.8647
-1.8952 -3.9308 -2.5070
-0.1697 -2.7468 4.4350
ATOMIC_POSITIONS crystal
Hf 0.2675 0.2414 0.0330
Hf 0.2675 0.7414 0.4670
Hf 0.7325 0.2414 0.5330
Hf 0.7325 0.7414 0.9670
O 0.0714 0.3793 0.3679
O 0.0714 0.8793 0.1321
O 0.4601 0.4923 0.7339
O 0.4601 0.9923 0.7661
O 0.5399 0.9923 0.2661
O 0.5399 0.4923 0.2339
O 0.9286 0.3793 0.8679
O 0.9286 0.8793 0.6321
```

For the magnetization, the calculation gives 0.0 Bohr magnetons per cell. The electronic total energy is -22.9172 eV per atom. For the energy relative to the elements, the calculation gives -3.89 eV per atom. The symmetry is No. 29.

***

7.
## TbSi2Ni (r²SCAN)

Data for an optimized crystal structure of TbSi2Ni. Values from VASP.

The structure in Quantum ESPRESSO input format:
```
&SYSTEM
  ibrav = 0, nat = 8, ntyp = 3
/
ATOMIC_SPECIES
Tb 158.93 Tb.upf
Si 28.09 Si.upf
Ni 58.69 Ni.upf
CELL_PARAMETERS angstrom
3.9588 0.0000 0.0000
0.0000 3.8951 -0.9500
0.0000 -0.0161 8.3942
ATOMIC_POSITIONS crystal
Tb 0.2500 0.8938 0.7876
Tb 0.7500 0.1062 0.2124
Si 0.2500 0.2499 0.4998
Si 0.7500 0.7501 0.5002
Si 0.2500 0.5404 0.0808
Si 0.7500 0.4596 0.9192
Ni 0.2500 0.6786 0.3573
Ni 0.7500 0.3214 0.6427
```

For the magnetization, the calculation gives 0.0 Bohr magnetons per cell. The electronic total energy is -16.0727 eV per atom. For the energy relative to the elements, the calculation gives -0.88 eV per atom. The symmetry is No. 63.

***

8.
## TiSiRu (r²SCAN)

Data for an optimized crystal structure of TiSiRu. Values from VASP.

The structure in Quantum ESPRESSO input format:
```
&SYSTEM
  ibrav = 0, nat = 18, ntyp = 3
/
ATOMIC_SPECIES
Ti 47.87 Ti.upf
Si 28.09 Si.upf
Ru 101.07 Ru.upf
CELL_PARAMETERS angstrom
-6.3025 -0.1163 1.4303
-1.5482 -0.5259 -6.8648
4.1148 -5.2379 3.1004
ATOMIC_POSITIONS crystal
Ti 0.9122 0.2460 0.9921
Ti 0.4929 0.9737 0.4474
Ti 0.0454 0.0263 0.5525
Ti 0.4912 0.4453 0.3906
Ti 0.9202 0.7540 0.0080
Ti 0.1006 0.5547 0.6094
Si 0.5385 0.7812 0.0625
Si 0.1625 0.1747 0.3351
Si 0.1625 0.6604 0.3351
Si 0.8274 0.3396 0.6649
Si 0.4760 0.2188 0.9375
Si 0.8274 0.8253 0.6649
Ru 0.2456 0.5000 0.0000
Ru 0.2456 0.0000 0.0000
Ru 0.4972 0.8385 0.7472
Ru 0.7499 0.5912 0.2528
Ru 0.4972 0.4088 0.7472
Ru 0.7499 0.1615 0.2528
```

For the magnetization, the calculation gives 0.0 Bohr magnetons per cell. The electronic total energy is -16.6301 eV per atom. For the energy relative to the elements, the calculation gives -0.92 eV per atom. The symmetry is No. 46.

***

9.
## YbDyZn2 (r²SCAN)

Data for an optimized crystal structure of YbDyZn2. Values from VASP.

The structure in Quantum ESPRESSO input format:
```
&SYSTEM
  ibrav = 0, nat = 4, ntyp = 3
/
ATOMIC_SPECIES
Yb 173.04 Yb.upf
Dy 162.50 Dy.upf
Zn 65.41 Zn.upf
CELL_PARAMETERS angstrom
0.0000 3.5140 3.5140
3.5140 0.0000 3.5140
3.5140 3.5140 0.0000
ATOMIC_POSITIONS crystal
Yb 0.0000 0.0000 0.0000
Dy 0.5000 0.5000 0.5000
Zn 0.2500 0.2500 0.2500
Zn 0.7500 0.7500 0.7500
```

For the magnetization, the calculation gives 0.0 Bohr magnetons per cell. The electronic total energy is -21.9842 eV per atom. For the energy relative to the elements, the calculation gives -0.40 eV per atom. The symmetry is No. 225.

***

10.
## Ce4ThO10 (r²SCAN)

Data for an optimized crystal structure of Ce4ThO10. Values from VASP.

The structure in Quantum ESPRESSO input format:
```
&SYSTEM
  ibrav = 0, nat = 30, ntyp = 3
/
ATOMIC_SPECIES
Ce 140.12 Ce.upf
Th 232.04 Th.upf
O 16.00 O.upf
CELL_PARAMETERS angstrom
1.9353 15.8251 -0.0013
-1.9353 15.8251 -0.0013
0.0000 0.4706 6.6822
ATOMIC_POSITIONS crystal
Ce 0.0000 0.0000 0.5000
Ce 0.2995 0.2995 0.3994
Ce 0.5000 0.5000 0.0000
Ce 0.7005 0.7005 0.6006
Ce 0.8999 0.8999 0.1999
Ce 0.7992 0.7992 0.9011
Ce 0.2008 0.2008 0.0989
Ce 0.1001 0.1001 0.8001
Th 0.3997 0.3997 0.7003
Th 0.6003 0.6003 0.2997
O 0.5242 0.5242 0.3245
O 0.0746 0.0746 0.4790
O 0.9254 0.9254 0.5210
O 0.0249 0.0249 0.8259
O 0.5747 0.5747 0.9712
O 0.4758 0.4758 0.6755
O 0.3742 0.3742 0.3712
O 0.7747 0.7747 0.5751
O 0.3236 0.3236 0.7253
O 0.2253 0.2253 0.4249
O 0.8742 0.8742 0.8794
O 0.9751 0.9751 0.1741
O 0.4253 0.4253 0.0288
O 0.2747 0.2747 0.0751
O 0.8243 0.8243 0.2256
O 0.7253 0.7253 0.9249
O 0.1757 0.1757 0.7744
O 0.6258 0.6258 0.6288
O 0.1258 0.1258 0.1206
O 0.6764 0.6764 0.2747
```

For the magnetization, the calculation gives 0.0 Bohr magnetons per cell. The electronic total energy is -20.9480 eV per atom. For the energy relative to the elements, the calculation gives -3.84 eV per atom. The symmetry is No. 12.

***

11.
## SrEu4O5 (r²SCAN)

Data for an optimized crystal structure of SrEu4O5. Values from VASP.

The structure in Quantum ESPRESSO input format:
```
&SYSTEM
  ibrav = 0, nat = 10, ntyp = 3
/
ATOMIC_SPECIES
Sr 87.62 Sr.upf
Eu 151.96 Eu.upf
O 16.00 O.upf
CELL_PARAMETERS angstrom
-3.4964 -0.6775 5.1062
0.4030 4.6010 -4.1744
-2.5194 -4.4286 -3.5777
ATOMIC_POSITIONS crystal
Sr 0.0000 0.0000 0.0000
Eu 0.8006 0.6001 0.4007
Eu 0.3999 0.8006 0.2005
Eu 0.6001 0.1994 0.7995
Eu 0.1994 0.3999 0.5993
O 0.5000 0.5000 0.0000
O 0.3035 0.1016 0.4051
O 0.8984 0.3035 0.2019
O 0.1016 0.6965 0.7981
O 0.6965 0.8984 0.5949
```

For the magnetization, the calculation gives 28.0 Bohr magnetons per cell. The electronic total energy is -22.9361 eV per atom. For the energy relative to the elements, the calculation gives -3.03 eV per atom. The symmetry is No. 87.

***

12.
## YSiPt (r²SCAN)

Data for an optimized crystal structure of YSiPt. Values from VASP.

The structure in Quantum ESPRESSO input format:
```
&SYSTEM
  ibrav = 0, nat = 12, ntyp = 3
/
ATOMIC_SPECIES
Y 88.91 Y.upf
Si 28.09 Si.upf
Pt 195.08 Pt.upf
CELL_PARAMETERS angstrom
4.2816 0.0000 0.0000
0.0000 7.0088 0.0000
0.0000 0.0000 7.4417
ATOMIC_POSITIONS crystal
Y 0.2500 0.9973 0.2987
Y 0.2500 0.4973 0.2013
Y 0.7500 0.0027 0.7013
Y 0.7500 0.5027 0.7987
Si 0.2500 0.3132 0.5870
Si 0.2500 0.8132 0.9130
Si 0.7500 0.6868 0.4130
Si 0.7500 0.1868 0.0870
Pt 0.2500 0.1991 0.9154
Pt 0.2500 0.6991 0.5846
Pt 0.7500 0.8009 0.0846
Pt 0.7500 0.3009 0.4154
```

For the magnetization, the calculation gives 0.0 Bohr magnetons per cell. The electronic total energy is -28.1518 eV per atom. For the energy relative to the elements, the calculation gives -1.29 eV per atom. The symmetry is No. 62.